! Na2TaZnP3O12 PBE optimized geometry; values from VASP
&SYSTEM
  ibrav = 0, nat = 114, ntyp = 5
/
ATOMIC_SPECIES
P 30.97 P.upf
O 16.00 O.upf
Zn 65.41 Zn.upf
Na 22.99 Na.upf
Ta 180.95 Ta.upf
CELL_PARAMETERS angstrom
8.880 0.028 -0.015
-4.416 7.648 0.000
-0.040 -0.023 22.445
ATOMIC_POSITIONS angstrom
P -1.306 2.861 20.590
P 1.874 2.566 1.881
P -2.571 5.099 9.368
P 5.704 5.425 16.877
P 2.578 5.137 20.638
P 1.313 2.208 16.903
P 1.269 2.864 9.406
P 1.342 7.324 9.416
P 5.787 4.792 1.929
P 3.139 0.328 13.104
P 7.569 2.239 5.654
P 6.279 0.011 16.839
P 3.124 4.771 13.141
P -1.321 7.304 20.628
P 7.023 2.605 13.152
P 3.169 5.444 5.617
P 5.714 0.332 1.919
P 2.589 0.044 5.680
O 2.785 2.430 16.693
O -1.069 3.766 19.289
O 0.607 6.619 8.161
O 3.405 6.349 4.316
O 7.850 1.224 13.223
O -1.669 4.851 8.067
O 5.213 3.999 16.688
O 6.089 2.527 5.465
O -0.649 6.625 19.340
O 0.578 1.504 15.648
O 1.017 3.785 8.117
O 7.147 0.254 18.040
O -0.723 1.468 20.408
O 2.765 7.411 15.538
O 0.699 3.501 10.620
O 3.816 1.091 20.714
O 3.813 6.074 6.817
O 1.552 0.236 13.254
O -0.639 1.532 4.381
O -3.428 6.317 15.604
O 6.213 2.732 14.415
O 5.365 1.211 16.657
O 5.462 1.252 0.630
O 6.046 2.320 11.896
O 3.784 0.958 14.304
O -1.573 5.303 16.978
O 2.776 2.318 0.580
O 5.435 3.798 9.503
O -1.704 5.342 10.568
O -0.661 3.490 21.791
O 3.845 6.207 13.227
O 7.317 0.238 2.004
O 1.582 5.352 5.767
O 1.018 1.443 18.166
O 3.506 6.302 20.429
O 0.959 3.767 1.698
O 0.808 6.554 1.729
O 0.530 3.615 16.974
O 3.751 4.052 5.434
O 3.796 4.092 11.853
O 5.052 4.087 0.674
O -1.054 6.491 21.843
O 4.975 1.082 9.487
O 2.872 2.770 9.491
O 1.779 0.172 6.943
O 5.144 0.969 3.133
O 0.779 1.438 9.216
O 2.815 7.545 9.206
O 0.990 6.331 16.990
O -0.590 3.646 5.756
O -1.620 4.985 1.735
O 3.516 1.209 5.471
O 5.492 4.026 3.192
O -1.000 6.312 5.751
O 3.405 3.756 20.709
O -3.486 6.299 9.185
O 3.391 3.959 14.356
O 5.005 6.198 2.000
O -2.801 7.592 20.439
O 2.741 2.810 3.081
O -2.805 7.408 4.425
O 1.644 5.060 12.952
O 1.000 1.238 2.031
O -0.694 6.584 12.921
O 1.768 5.264 21.902
O 5.987 2.796 20.725
O -0.929 3.741 12.958
O 5.133 6.062 18.092
O 7.836 1.426 6.869
O 1.601 4.853 19.383
O 1.047 6.559 10.679
O 3.376 1.233 11.802
Zn 4.413 2.510 4.122
Zn 4.403 7.603 19.081
Zn -0.045 5.111 0.387
Zn 4.361 2.556 15.345
Zn -0.032 5.043 11.609
Zn 8.806 0.023 7.858
Na 5.975 4.847 5.530
Na 8.839 0.021 11.035
Na 4.394 2.554 18.522
Na 1.500 2.264 20.504
Na 4.428 2.539 7.299
Na 1.530 7.379 13.017
Na 2.760 5.295 1.794
Na 7.165 2.739 16.753
Na 2.730 0.179 9.281
Na -0.017 5.072 14.786
Na 4.418 7.632 22.258
Na -0.012 5.109 3.564
Ta 0.006 0.044 3.289
Ta 4.456 2.532 21.983
Ta -4.394 7.620 14.512
Ta 4.441 2.605 10.761
Ta -0.004 5.137 18.248
Ta 0.051 5.087 7.025
! Total DFT energy (no corrections) in Ry/atom: -0.520
! Magnetic moment in μB per atom: 0.00
! V in Å³ per cell: 1527.1

---

! MgZn2 PBE optimized geometry; values from VASP
&SYSTEM
  ibrav = 0, nat = 6, ntyp = 2
/
ATOMIC_SPECIES
Mg 24.30 Mg.upf
Zn 65.41 Zn.upf
CELL_PARAMETERS angstrom
5.709 -1.472 0.000
5.709 1.472 0.000
-2.084 0.000 6.234
ATOMIC_POSITIONS angstrom
Mg 1.487 0.000 0.244
Mg 7.846 0.000 5.990
Zn 0.858 0.000 3.904
Zn 3.970 0.000 4.235
Zn 5.364 0.000 1.999
Zn 8.476 0.000 2.330
! Space group: C2/m, No. 12
! Total DFT energy (no corrections) in Ry/atom: -0.101
! Magnetic moment in μB per atom: 0.00
! V in Å³ per cell: 104.7

---

! ZrSn PBE optimized geometry; values from VASP
&SYSTEM
  ibrav = 0, nat = 2, ntyp = 2
/
ATOMIC_SPECIES
Zr 91.22 Zr.upf
Sn 118.71 Sn.upf
CELL_PARAMETERS angstrom
3.580 0.000 0.000
0.000 3.580 0.000
0.000 0.000 3.580
ATOMIC_POSITIONS angstrom
Zr 0.000 0.000 0.000
Sn 1.790 1.790 1.790
! Space group: Pm-3m, No. 221
! Total DFT energy (no corrections) in Ry/atom: -0.481
! Magnetic moment in μB per atom: 0.00
! V in Å³ per cell: 45.9